(1)
A relaxed Zn8B4H3O15F crystal. Source: Materials Project, functional PBE.

Cell: 4.9491 6.4237 23.1562 Å, 84.30 90.00 90.00°
Sites, in units of the cell vectors:
O 0.1340 0.6582 0.3719
O 0.6345 0.3429 0.1273
O 0.7254 0.8334 0.3406
O 0.1362 0.6565 0.6211
O 0.1387 0.9327 0.5420
O 0.2247 0.1692 0.9088
O 0.1346 0.6576 0.1226
O 0.6375 0.0727 0.2081
O 0.0147 0.4040 0.0184
O 0.1375 0.9273 0.7919
O 0.6384 0.0702 0.7085
O 0.1368 0.9276 0.0417
O 0.7245 0.8251 0.5894
O 0.0147 0.4042 0.7684
O 0.6387 0.0673 0.4580
O 0.5139 0.5963 0.7310
O 0.2254 0.1666 0.6594
O 0.2247 0.1696 0.1588
O 0.1345 0.6571 0.8727
O 0.5147 0.5958 0.2316
O 0.5147 0.5960 0.9816
O 0.7247 0.8308 0.0912
O 0.2245 0.1749 0.4106
O 0.6368 0.0724 0.9583
O 0.6340 0.3418 0.6281
O 0.6346 0.3424 0.8774
O 0.0139 0.4037 0.2690
O 0.1384 0.9298 0.2915
O 0.7247 0.8304 0.8412
O 0.6362 0.3435 0.3789
Zn 0.0196 0.3628 0.8537
Zn 0.0201 0.3631 0.3545
Zn 0.0187 0.3642 0.6062
Zn 0.5196 0.6372 0.1463
Zn 0.0026 0.1429 0.4812
Zn 0.5071 0.8585 0.7694
Zn 0.5187 0.6358 0.3938
Zn 0.5196 0.6372 0.8963
Zn 0.0071 0.1415 0.2306
Zn 0.5072 0.8603 0.2690
Zn 0.0071 0.1405 0.9805
Zn 0.0072 0.1397 0.7310
Zn 0.0196 0.3628 0.1037
Zn 0.5026 0.8571 0.5188
Zn 0.5071 0.8595 0.0195
Zn 0.5201 0.6369 0.6455
B 0.5026 0.1931 0.4155
B 0.5029 0.1905 0.6645
B 0.0025 0.8077 0.8361
B 0.0029 0.8095 0.3355
B 0.0026 0.8069 0.5845
B 0.5025 0.1923 0.1639
B 0.0024 0.8081 0.0860
B 0.5024 0.1919 0.9140
H 0.6789 0.5169 0.9951
H 0.1794 0.4831 0.7548
H 0.1774 0.4830 0.2554
H 0.6794 0.5169 0.2452
H 0.6774 0.5170 0.7446
H 0.1789 0.4831 0.0049
F 0.0218 0.3939 0.5222
F 0.5218 0.6061 0.4778

(2)
A relaxed Zn8B4H3O15F crystal. Source: Materials Project, functional PBE.

Cell: 4.9944 8.3391 9.7469 Å, 101.17 90.21 90.01°
Sites, in units of the cell vectors:
B 0.0048 0.5168 0.3063
B 0.0034 0.0172 0.8052
B 0.5039 0.9843 0.1943
B 0.5043 0.4836 0.6935
O 0.2285 0.4816 0.6786
O 0.6407 0.3402 0.6958
O 0.0153 0.5985 0.9868
O 0.1390 0.3694 0.2839
O 0.1361 0.8689 0.7846
O 0.1388 0.1616 0.8062
O 0.2283 0.9811 0.1772
O 0.5157 0.4028 0.0137
O 0.6400 0.1310 0.2128
O 0.6395 0.8397 0.1967
O 0.0335 0.1054 0.4853
O 0.1376 0.6623 0.3060
O 0.7270 0.0198 0.8208
O 0.7289 0.5183 0.3238
O 0.6405 0.6312 0.7123
Zn 0.0011 0.1502 0.2972
Zn 0.5010 0.8490 0.7106
Zn 0.5182 0.7185 0.3431
Zn 0.5175 0.2237 0.8479
Zn 0.5011 0.3491 0.2037
Zn 0.0180 0.7785 0.1517
Zn 0.0016 0.6491 0.7958
Zn 0.0174 0.2769 0.6502
H 0.6744 0.4713 0.0075
H 0.1793 0.0284 0.4925
H 0.1732 0.5289 0.9929
F 0.4943 0.8878 0.5153

(3)
A relaxed PrB2HF10 crystal. Source: Materials Project, functional PBE.

Cell: 5.9322 7.1403 8.8610 Å, 67.67 90.00 90.00°
Sites, in units of the cell vectors:
F 0.2500 0.0756 0.0132
F 0.9453 0.5453 0.6342
F 0.4453 0.4547 0.3658
F 0.5547 0.5453 0.6342
F 0.4441 0.2530 0.1419
F 0.7500 0.3353 0.8610
F 0.2500 0.6647 0.1390
F 0.5000 0.0000 0.5000
F 0.9441 0.7470 0.8581
F 0.0559 0.2530 0.1419
F 0.2500 0.4244 0.9017
F 0.2500 0.0648 0.7416
F 0.7500 0.5756 0.0983
F 0.7500 0.9352 0.2584
F 0.2500 0.7294 0.3776
F 0.5559 0.7470 0.8581
F 0.0547 0.4547 0.3658
F 0.7500 0.2706 0.6224
F 0.0000 0.0000 0.5000
F 0.7500 0.9244 0.9868
B 0.2500 0.5817 0.3061
B 0.7500 0.4183 0.6939
B 0.2500 0.2523 0.0489
B 0.7500 0.7477 0.9511
Pr 0.2500 0.7682 0.6579
Pr 0.7500 0.2318 0.3421
H 0.2500 0.0707 0.8503
H 0.7500 0.9293 0.1497

Record-wise ΔH_f (0 K) values, in meV per atom: -2101 -2113 -3340